(1)
Na5Nb2Al2Si3P3O24 after structural relaxation, computed with PBE.

**Calculated formation energy**: -2.911 eV/atom

Structure (POSCAR):
```
Na5Nb2Al2Si3P3O24
1.0
-5.1199 -2.8836 6.5874
0.2021 -4.3840 -7.6512
16.7314 -12.3973 7.3417
Al O P Si Nb Na
6 72 9 9 6 15
direct
0.3300 0.6639 0.0195
0.6676 0.3314 0.6865
0.9855 0.9904 0.3532
0.0050 0.0108 0.8536
0.6692 0.3325 0.1860
0.3406 0.6748 0.5202
0.1548 0.4578 0.9764
0.5082 0.6426 0.8614
0.1749 0.9732 0.1948
0.8024 0.8253 0.1944
0.0366 0.8522 0.4070
0.7024 0.5324 0.5273
0.8081 0.8325 0.9120
0.3609 0.4941 0.3608
0.0292 0.1914 0.9101
0.8295 0.5223 0.7434
0.8312 0.8095 0.5912
0.2046 0.0284 0.3087
0.4764 0.1704 0.2434
0.6860 0.1781 0.7444
0.8332 0.7975 0.3063
0.4869 0.6412 0.5773
0.3547 0.5103 0.0750
0.8254 0.9835 0.4108
0.2016 0.1647 0.8070
0.3557 0.8607 0.8577
0.4688 0.1630 0.5244
0.8014 0.9779 0.6906
0.5277 0.6928 0.9739
0.6440 0.5089 0.9222
0.5042 0.1324 0.6441
0.3512 0.8463 0.5787
0.1678 0.7014 0.4772
0.5320 0.6948 0.2553
0.8291 0.0295 0.0890
0.8702 0.3684 0.6390
0.8672 0.3632 0.9212
0.1600 0.6903 0.7561
0.1732 0.1972 0.6951
0.5367 0.8394 0.4798
0.5043 0.1459 0.9207
0.1722 0.1968 0.4120
0.3008 0.4708 0.4731
0.1493 0.9682 0.9078
0.9815 0.8169 0.0893
0.8374 0.5305 0.0232
0.0200 0.1950 0.1915
0.9707 0.1702 0.5892
0.0290 0.8249 0.6954
0.1529 0.6458 0.0768
0.1328 0.6332 0.3580
0.1651 0.4815 0.2548
0.4700 0.3031 0.7449
0.6973 0.5287 0.2444
0.2965 0.8301 0.9765
0.4683 0.2971 0.0270
0.6996 0.1635 0.0280
0.8571 0.4949 0.4214
0.8209 0.3126 0.2444
0.9717 0.7933 0.8092
0.6406 0.4935 0.6443
0.1387 0.5014 0.5758
0.4953 0.3610 0.4218
0.3028 0.4667 0.7568
0.8425 0.0286 0.8093
0.8423 0.3007 0.5262
0.6432 0.1463 0.4217
0.5068 0.3615 0.1439
0.1390 0.4958 0.8629
0.8683 0.4950 0.1434
0.9749 0.1674 0.3118
0.4964 0.8589 0.3609
0.1818 0.0191 0.5893
0.5215 0.8358 0.7565
0.4985 0.8619 0.0753
0.3051 0.8388 0.2550
0.6297 0.1274 0.1400
0.1906 0.1689 0.0909
0.6584 0.0419 0.0850
0.6230 0.6772 0.9197
0.7139 0.7085 0.2517
0.0500 0.3725 0.9184
0.9589 0.3412 0.5849
0.2899 0.2847 0.7527
0.3293 0.3820 0.4193
0.2969 0.0143 0.2524
0.9862 0.7015 0.7529
0.9860 0.2816 0.2530
0.3903 0.3507 0.0873
0.6493 0.6095 0.5879
0.6295 0.9495 0.4197
0.3798 0.0428 0.5863
0.7229 0.0171 0.7533
0.3239 0.9535 0.9183
0.0480 0.6770 0.4184
0.9565 0.6180 0.0849
0.3405 0.6717 0.8111
0.9999 0.0024 0.1451
0.9967 0.9996 0.6458
0.6663 0.3400 0.4785
0.3329 0.6667 0.3113
0.6569 0.3297 0.9777
0.0393 0.3462 0.0819
0.9930 0.6268 0.2461
0.9940 0.0016 0.9925
0.6700 0.3303 0.8273
0.3001 0.9629 0.0793
0.3359 0.6468 0.6614
0.3319 0.0287 0.4153
0.9714 0.6716 0.9160
0.6527 0.9585 0.5808
0.3510 0.6624 0.1618
0.9956 0.9928 0.4937
0.0365 0.6988 0.5795
0.9672 0.2948 0.4114
0.3717 0.0075 0.7463
0.6607 0.3305 0.3260
```


(2)
Li3TlPCO7 after structural relaxation, computed with PBE.

**Calculated formation energy**: -2.169 eV/atom

Structure (POSCAR):
```
Li3TlPCO7
1.0
6.9553 0.0000 0.0000
0.0000 5.2279 0.0000
0.0000 0.2593 8.6965
O C Li Tl P
14 2 6 2 2
direct
0.5741 0.0360 0.2027
0.7934 0.4769 0.7109
0.7021 0.7029 0.9161
0.8052 0.3050 0.9556
0.8382 0.2556 0.3488
0.4142 0.1420 0.8032
0.0741 0.9640 0.7973
0.7143 0.8063 0.4385
0.2143 0.1937 0.5615
0.3052 0.6950 0.0444
0.2934 0.5231 0.2891
0.9142 0.8580 0.1968
0.2021 0.2971 0.0839
0.3382 0.7444 0.6512
0.2686 0.5080 0.1394
0.7686 0.4920 0.8606
0.3173 0.5028 0.8419
0.0080 0.0516 0.0010
0.8173 0.4972 0.1581
0.4826 0.5790 0.4903
0.9826 0.4210 0.5097
0.5080 0.9484 0.9990
0.2472 0.0071 0.3077
0.7472 0.9929 0.6923
0.7602 0.9930 0.2987
0.2602 0.0070 0.7013
```


(3)
FeSe after structural relaxation, computed with PBE.

**Calculated formation energy**: -0.143 eV/atom

Structure (POSCAR):
```
FeSe
1.0
3.8535 0.0000 0.0000
0.0000 5.0562 0.0000
0.0000 0.0000 6.5921
Fe Se
4 4
direct
0.7500 0.4971 0.2441
0.2500 0.0029 0.7441
0.7500 0.9971 0.2559
0.2500 0.5029 0.7559
0.7500 0.2413 0.9160
0.2500 0.7587 0.0840
0.2500 0.2587 0.4160
0.7500 0.7413 0.5840
```


(4)
Na9Ti20O40 after structural relaxation, computed with PBE.

**Calculated formation energy**: -3.154 eV/atom

Structure (POSCAR):
```
Na9Ti20O40
1.0
8.3865 -0.8420 -6.5060
-2.2907 -4.7033 9.2737
-7.4661 -4.4597 -6.1432
O Na Ti
40 9 20
direct
0.1420 0.9994 0.4276
0.1993 0.0286 0.9430
0.4012 0.6291 0.7432
0.7642 0.2924 0.8429
0.8491 0.1217 0.7567
0.7438 0.8007 0.8293
0.5081 0.9507 0.6722
0.0006 0.4282 0.1426
0.1713 0.5136 0.9720
0.7714 0.3141 0.3719
0.0787 0.2358 0.5282
0.0493 0.7215 0.5574
0.8007 0.8287 0.3422
0.5629 0.6911 0.0429
0.6483 0.5201 0.9571
0.2785 0.8360 0.3278
0.3649 0.0924 0.2433
0.8860 0.6581 0.2568
0.6859 0.0579 0.4573
0.5718 0.7144 0.5724
0.1640 0.4919 0.4426
0.8783 0.6351 0.7275
0.2856 0.8580 0.8574
0.9714 0.9145 0.1707
0.9638 0.8917 0.6418
0.5415 0.1993 0.0280
0.1083 0.7501 0.0721
0.4864 0.4585 0.6578
0.3419 0.5988 0.2279
0.7076 0.5504 0.4718
0.4799 0.4371 0.1282
0.6780 0.0362 0.9279
0.3709 0.1140 0.7721
0.4496 0.9213 0.1571
0.2499 0.3220 0.3582
0.6005 0.2286 0.5427
0.3089 0.3517 0.8718
0.0855 0.2562 0.0570
0.9421 0.3995 0.6281
0.9076 0.1509 0.2725
0.2002 0.6001 0.8002
0.8505 0.5520 0.9006
0.6514 0.9499 0.0994
0.2500 0.7500 0.5000
0.4480 0.3486 0.2985
0.6001 0.7998 0.3999
0.7998 0.3999 0.1998
0.0501 0.1495 0.7015
0.3999 0.2002 0.6001
0.1243 0.8768 0.7532
0.3220 0.9757 0.0491
0.7271 0.6780 0.6538
0.7240 0.1750 0.6506
0.3242 0.4749 0.5506
0.5313 0.5804 0.8523
0.8250 0.4756 0.5490
0.4196 0.2719 0.9510
0.9267 0.2729 0.9510
0.9266 0.2760 0.4510
0.0243 0.0733 0.3462
0.1236 0.3711 0.2468
0.5251 0.0757 0.8493
0.9243 0.7736 0.4494
0.3209 0.4687 0.0490
0.7281 0.6791 0.1477
0.2264 0.6758 0.1507
0.6289 0.8757 0.7525
0.5244 0.0734 0.3494
0.1232 0.8764 0.2475
```


(5)
Ca5Pb3 after structural relaxation, computed with PBE.

**Calculated formation energy**: -0.505 eV/atom

Structure (POSCAR):
```
Ca5Pb3
1.0
-8.9703 12.1835 -6.4432
-7.3986 -13.5505 5.6624
-0.5414 2.9094 6.2551
Pb Ca
18 30
direct
0.2043 0.7957 0.2691
0.8711 0.7422 0.2460
0.2043 0.4086 0.2691
0.7957 0.2043 0.7691
0.7422 0.8711 0.7460
0.1289 0.8711 0.7460
0.5384 0.0768 0.2620
0.1289 0.2578 0.7460
0.4086 0.2043 0.7691
0.5384 0.4616 0.2620
0.2578 0.1289 0.2460
0.4616 0.9232 0.7620
0.7957 0.5914 0.7691
0.9232 0.4616 0.2620
0.0768 0.5384 0.7620
0.5914 0.7957 0.2691
0.4616 0.5384 0.7620
0.8711 0.1289 0.2460
0.4230 0.8459 0.2656
0.6674 0.0023 0.5093
0.0023 0.3349 0.0093
0.9106 0.0894 0.7559
0.0023 0.6674 0.0093
0.5770 0.4230 0.7656
0.9977 0.3326 0.5093
0.1541 0.5770 0.2656
0.9977 0.6651 0.5093
0.7558 0.5116 0.2569
0.4230 0.5770 0.2656
0.6674 0.6651 0.5093
0.7558 0.2442 0.2569
0.0894 0.9106 0.2559
0.8459 0.4230 0.7656
0.5770 0.1541 0.7656
0.8213 0.9106 0.2559
0.3326 0.3349 0.0093
0.4884 0.2442 0.2569
0.6651 0.9977 0.0093
0.2442 0.4884 0.7569
0.3349 0.0023 0.5093
0.2442 0.7558 0.7569
0.9106 0.8213 0.7559
0.5116 0.7558 0.7569
0.3326 0.9977 0.0093
0.3349 0.3326 0.5093
0.0894 0.1787 0.2559
0.6651 0.6674 0.0093
0.1787 0.0894 0.7559
```


(6)
Pr13Zn58 after structural relaxation, computed with PBE.

**Calculated formation energy**: -0.323 eV/atom

Structure (POSCAR):
```
Pr13Zn58
1.0
6.3441 -12.4712 -2.6822
7.3702 6.1263 -11.0526
5.6925 -0.0025 13.4761
Zn Pr
116 26
direct
0.3975 0.6704 0.6345
0.3975 0.9642 0.6345
0.3429 0.4748 0.2374
0.9034 0.6667 0.3333
0.0000 0.2020 0.0000
0.9490 0.3979 0.6021
0.6569 0.9051 0.8101
0.1412 0.4352 0.5648
0.0000 0.7980 0.7980
0.4490 0.6021 0.3979
0.8431 0.9051 0.8101
0.0510 0.7959 0.3979
0.7500 0.7297 0.4595
0.9490 0.3979 0.7959
0.0000 0.5000 0.5000
0.8588 0.8704 0.4352
0.1569 0.8101 0.9051
0.4490 0.7959 0.3979
0.3975 0.6704 0.0358
0.5510 0.3979 0.7959
0.5510 0.2041 0.6021
0.1412 0.4352 0.8704
0.0510 0.6021 0.3979
0.1571 0.4748 0.2374
0.6025 0.0358 0.3655
0.8975 0.6345 0.9642
0.7500 0.3662 0.2817
0.7500 0.5405 0.2703
0.5000 0.2020 0.2020
0.1025 0.3655 0.0358
0.8975 0.0358 0.6704
0.0000 0.0000 0.7980
0.0000 0.5000 0.0000
0.0000 0.0000 0.5000
0.2500 0.2703 0.5405
0.7500 0.0000 0.0000
0.2500 0.2817 0.9155
0.8431 0.9051 0.0949
0.6025 0.3296 0.9642
0.7500 0.3333 0.6667
0.6412 0.5648 0.4352
0.2500 0.0845 0.7183
0.3431 0.0949 0.9051
0.1025 0.9642 0.6345
0.5000 0.5000 0.5000
0.6571 0.2374 0.7626
0.3429 0.7626 0.5252
0.3431 0.8101 0.9051
0.0000 0.7980 0.0000
0.8975 0.6345 0.6704
0.5510 0.3979 0.6021
0.9490 0.2041 0.6021
0.6412 0.5648 0.1296
0.6025 0.6345 0.6704
0.7500 0.9155 0.6338
0.5000 0.5000 0.0000
0.7500 0.7183 0.6338
0.1025 0.6704 0.0358
0.6569 0.9051 0.0949
0.3975 0.3655 0.0358
0.2500 0.0845 0.3662
0.8975 0.0358 0.3655
0.5966 0.6667 0.3333
0.0510 0.6021 0.2041
0.3975 0.9642 0.3296
0.7500 0.9155 0.2817
0.0966 0.3333 0.6667
0.1569 0.0949 0.9051
0.3429 0.7626 0.2374
0.2500 0.4595 0.7297
0.8429 0.2374 0.7626
0.6025 0.0358 0.6704
0.2500 0.2703 0.7297
0.2500 0.6338 0.9155
0.3588 0.4352 0.5648
0.1025 0.6704 0.6345
0.2500 0.6338 0.7183
0.1569 0.0949 0.1899
0.1025 0.9642 0.3296
0.8429 0.2374 0.4748
0.8588 0.5648 0.1296
0.8431 0.1899 0.0949
0.7500 0.7183 0.0845
0.8588 0.5648 0.4352
0.3588 0.4352 0.8704
0.8975 0.3296 0.9642
0.3431 0.0949 0.1899
0.5000 0.2020 0.0000
0.4034 0.3333 0.6667
0.6412 0.8704 0.4352
0.4490 0.6021 0.2041
0.3588 0.1296 0.5648
0.1025 0.3655 0.3296
0.5000 0.0000 0.2020
0.5000 0.0000 0.7980
0.6571 0.2374 0.4748
0.1412 0.1296 0.5648
0.1571 0.7626 0.2374
0.5000 0.7980 0.7980
0.7500 0.3662 0.0845
0.2500 0.6667 0.3333
0.5000 0.0000 0.5000
0.8429 0.5252 0.7626
0.6569 0.1899 0.0949
0.2500 0.2817 0.3662
0.2500 0.0000 0.0000
0.1571 0.7626 0.5252
0.7500 0.7297 0.2703
0.6025 0.6345 0.9642
0.8975 0.3296 0.3655
0.6025 0.3296 0.3655
0.0000 0.2020 0.2020
0.6571 0.5252 0.7626
0.0000 0.0000 0.2020
0.3975 0.3655 0.3296
0.5000 0.7980 0.0000
0.5524 0.7950 0.5900
0.5000 0.0000 0.0000
0.0524 0.2050 0.4100
0.2500 0.2565 0.1282
0.4476 0.2050 0.4100
0.7500 0.4570 0.5430
0.9476 0.7950 0.2050
0.5524 0.7950 0.2050
0.2500 0.8718 0.7435
0.2500 0.5430 0.4570
0.0000 0.0000 0.0000
0.0524 0.5900 0.7950
0.4476 0.2050 0.7950
0.7500 0.1282 0.2565
0.9476 0.7950 0.5900
0.7500 0.7435 0.8718
0.2500 0.8718 0.1282
0.7500 0.1282 0.8718
0.0524 0.2050 0.7950
0.5524 0.4100 0.2050
0.9476 0.4100 0.2050
0.2500 0.9140 0.4570
0.7500 0.4570 0.9140
0.4476 0.5900 0.7950
0.2500 0.5430 0.0860
0.7500 0.0860 0.5430
```


(7)
U3Hg after structural relaxation, computed with PBE.

**Calculated formation energy**: 0.448 eV/atom

Structure (POSCAR):
```
U3Hg
1.0
-2.2483 2.2483 4.3352
2.2483 -2.2483 4.3352
2.2483 2.2483 -4.3352
U Hg
3 1
direct
0.7500 0.2500 0.5000
0.5000 0.5000 0.0000
0.2500 0.7500 0.5000
0.0000 0.0000 0.0000
```


Question: What is the formula in the second record?
Answer: Li3TlPCO7